# 1
Cs2KYBr6 PBE-GGA optimized geometry; symmetry = Fm-3m; formation energy from the elements = -2.190 eV/atom; calculated total energy = -37.9 eV for the cell shown
1.0
0.0000 5.9698 5.9698
5.9698 0.0000 5.9698
5.9698 5.9698 0.0000
Y Br Cs K
1 6 2 1
Direct
0.0000 0.0000 0.0000
0.7655 0.2345 0.7655
0.7655 0.2345 0.2345
0.2345 0.7655 0.2345
0.7655 0.7655 0.2345
0.2345 0.7655 0.7655
0.2345 0.2345 0.7655
0.7500 0.7500 0.7500
0.2500 0.2500 0.2500
0.5000 0.5000 0.5000

=====

# 2
KCdN3 PBE-GGA optimized geometry; symmetry = Pm-3m; formation energy from the elements = 1.659 eV/atom; calculated total energy = -17.7 eV for the cell shown
1.0
4.5671 0.0000 0.0000
0.0000 4.5671 0.0000
0.0000 0.0000 4.5671
N Cd K
3 1 1
Direct
0.5000 0.0000 0.0000
0.0000 0.5000 0.0000
0.0000 0.0000 0.5000
0.0000 0.0000 0.0000
0.5000 0.5000 0.5000

=====

# 3
Y13Cd58 PBE-GGA optimized geometry; symmetry = P6_3/mmc; formation energy from the elements = -0.202 eV/atom; calculated total energy = -303.9 eV for the cell shown
1.0
7.8954 -13.6752 0.0000
7.8954 13.6752 0.0000
0.0000 0.0000 15.5677
Y Cd
26 116
Direct
0.5444 0.0888 0.2500
0.1287 0.8713 0.7500
0.7427 0.8713 0.7500
0.5444 0.4556 0.2500
0.0000 0.0000 0.0000
0.1287 0.2573 0.7500
0.9112 0.4556 0.2500
0.4121 0.2061 0.9472
0.5879 0.7939 0.0528
0.4556 0.5444 0.7500
0.8713 0.1287 0.2500
0.4121 0.2061 0.5528
0.2061 0.4121 0.4472
0.8713 0.7427 0.2500
0.4556 0.9112 0.7500
0.2573 0.1287 0.2500
0.2061 0.7939 0.4472
0.7939 0.5879 0.5528
0.2061 0.4121 0.0528
0.5879 0.7939 0.4472
0.2061 0.7939 0.0528
0.7939 0.2061 0.9472
0.0000 0.0000 0.5000
0.7939 0.2061 0.5528
0.7939 0.5879 0.9472
0.0888 0.5444 0.7500
0.6354 0.9641 0.8985
0.7659 0.5317 0.1585
0.6003 0.2006 0.4485
0.2341 0.7659 0.8415
0.6354 0.9641 0.6015
0.0921 0.1843 0.3442
0.0000 0.1975 0.5000
0.3646 0.3287 0.1015
0.0359 0.6713 0.6015
0.9079 0.8157 0.8442
0.2341 0.7659 0.6585
0.2006 0.6003 0.5515
0.2663 0.7337 0.2500
0.1193 0.5597 0.1474
0.4683 0.2341 0.3415
0.1975 0.0000 0.0000
0.2006 0.6003 0.9485
0.9079 0.0921 0.6558
0.6713 0.0359 0.3985
0.2663 0.5326 0.2500
0.3287 0.3646 0.8985
0.5326 0.2663 0.7500
0.1975 0.0000 0.5000
0.4403 0.8807 0.1474
0.6713 0.0359 0.1015
0.7659 0.5317 0.3415
0.0000 0.8025 0.0000
0.8025 0.8025 0.5000
0.5000 0.0000 0.5000
0.6667 0.3333 0.5967
0.3646 0.0359 0.3985
0.5597 0.4403 0.8526
0.9641 0.6354 0.3985
0.1193 0.5597 0.3526
0.0000 0.5000 0.0000
0.7337 0.2663 0.7500
0.8025 0.0000 0.0000
0.1975 0.1975 0.0000
0.1843 0.0921 0.8442
0.0000 0.1975 0.0000
0.0921 0.9079 0.3442
0.6667 0.3333 0.9033
0.3997 0.6003 0.5515
0.7248 0.0799 0.7500
0.0799 0.7248 0.2500
0.8807 0.4403 0.6474
0.3287 0.9641 0.8985
0.4683 0.2341 0.1585
0.6003 0.3997 0.0515
0.7337 0.4674 0.7500
0.5000 0.0000 0.0000
0.3333 0.6667 0.4033
0.4403 0.5597 0.3526
0.7659 0.2341 0.3415
0.9079 0.8157 0.6558
0.6354 0.6713 0.6015
0.7994 0.3997 0.4485
0.5000 0.5000 0.0000
0.0921 0.9079 0.1558
0.0359 0.3646 0.6015
0.0000 0.5000 0.5000
0.5000 0.5000 0.5000
0.0000 0.8025 0.5000
0.2752 0.9201 0.2500
0.3333 0.6667 0.0967
0.5597 0.4403 0.6474
0.0799 0.3550 0.2500
0.6354 0.6713 0.8985
0.0000 0.0000 0.2500
0.3287 0.9641 0.6015
0.3550 0.0799 0.7500
0.8025 0.8025 0.0000
0.6003 0.3997 0.4485
0.9641 0.3287 0.1015
0.0359 0.3646 0.8985
0.4674 0.7337 0.2500
0.5317 0.7659 0.8415
0.6667 0.3333 0.2500
0.4403 0.8807 0.3526
0.9641 0.3287 0.3985
0.1975 0.1975 0.5000
0.4403 0.5597 0.1474
0.9201 0.6450 0.7500
0.3550 0.2752 0.7500
0.3287 0.3646 0.6015
0.5597 0.1193 0.6474
0.8157 0.9079 0.1558
0.2341 0.4683 0.8415
0.0921 0.1843 0.1558
0.3646 0.3287 0.3985
0.5597 0.1193 0.8526
0.3997 0.7994 0.5515
0.6450 0.9201 0.2500
0.3997 0.6003 0.9485
0.8157 0.9079 0.3442
0.8025 0.0000 0.5000
0.6003 0.2006 0.0515
0.9641 0.6354 0.1015
0.1843 0.0921 0.6558
0.0000 0.0000 0.7500
0.9201 0.2752 0.7500
0.7248 0.6450 0.7500
0.3333 0.6667 0.7500
0.7659 0.2341 0.1585
0.9079 0.0921 0.8442
0.6713 0.6354 0.1015
0.2752 0.3550 0.2500
0.6450 0.7248 0.2500
0.0359 0.6713 0.8985
0.3646 0.0359 0.1015
0.7994 0.3997 0.0515
0.5317 0.7659 0.6585
0.8807 0.4403 0.8526
0.3997 0.7994 0.9485
0.2341 0.4683 0.6585
0.6713 0.6354 0.3985

=====

# 4
Cs3Cr2I9 PBE-GGA optimized geometry; symmetry = R-3c; formation energy from the elements = -1.158 eV/atom; calculated total energy = -97.0 eV for the cell shown
1.0
2.1538 9.9473 -3.9606
-9.5093 4.9012 2.1964
2.7033 5.0785 9.2830
I Cs Cr
18 6 4
Direct
0.4374 0.7606 0.6024
0.7606 0.6024 0.4374
0.0626 0.8976 0.7394
0.8976 0.7394 0.0626
0.1024 0.2606 0.9374
0.5980 0.7500 0.9020
0.2606 0.9374 0.1024
0.5626 0.2394 0.3976
0.2394 0.3976 0.5626
0.9374 0.1024 0.2606
0.2500 0.0980 0.4020
0.7394 0.0626 0.8976
0.7500 0.9020 0.5980
0.6024 0.4374 0.7606
0.9020 0.5980 0.7500
0.4020 0.2500 0.0980
0.0980 0.4020 0.2500
0.3976 0.5626 0.2394
0.4159 0.0841 0.7500
0.7500 0.4159 0.0841
0.5841 0.9159 0.2500
0.0841 0.7500 0.4159
0.2500 0.5841 0.9159
0.9159 0.2500 0.5841
0.1667 0.1667 0.1667
0.3333 0.3333 0.3333
0.6667 0.6667 0.6667
0.8333 0.8333 0.8333

=====

# 5
SbRh3 PBE-GGA optimized geometry; symmetry = Pm-3m; formation energy from the elements = -0.258 eV/atom; calculated total energy = -27.3 eV for the cell shown
1.0
3.9697 0.0000 0.0000
0.0000 3.9697 0.0000
0.0000 0.0000 3.9697
Rh Sb
3 1
Direct
0.5000 0.0000 0.5000
0.0000 0.5000 0.5000
0.5000 0.5000 0.0000
0.0000 0.0000 0.0000

=====

# 6
Tl3H PBE-GGA optimized geometry; symmetry = I4/mmm; formation energy from the elements = 0.397 eV/atom; calculated total energy = -8.7 eV for the cell shown
1.0
-2.3285 2.3285 4.9696
2.3285 -2.3285 4.9696
2.3285 2.3285 -4.9696
Tl H
3 1
Direct
0.5000 0.5000 0.0000
0.7500 0.2500 0.5000
0.2500 0.7500 0.5000
0.0000 0.0000 0.0000

=====

# 7
Rb3ZnBr5 PBE-GGA optimized geometry; symmetry = Pnma; formation energy from the elements = -1.805 eV/atom; calculated total energy = -103.9 eV for the cell shown
1.0
-4.9654 -3.9580 6.7665
2.8175 -9.6499 -3.5771
11.0555 0.1813 8.2188
Rb Br Zn
12 20 4
Direct
0.0886 0.9789 0.3285
0.0882 0.7500 0.0460
0.5882 0.7500 0.4540
0.9118 0.2500 0.9540
0.9114 0.4789 0.6715
0.5886 0.9789 0.1715
0.4118 0.2500 0.5460
0.9114 0.0211 0.6715
0.4114 0.0211 0.8285
0.4114 0.4789 0.8285
0.0886 0.5211 0.3285
0.5886 0.5211 0.1715
0.3647 0.2500 0.2810
0.1858 0.4417 0.0644
0.5342 0.2500 0.0143
0.3393 0.7500 0.2658
0.6353 0.7500 0.7190
0.6607 0.2500 0.7342
0.4658 0.7500 0.9857
0.3142 0.5583 0.5644
0.9658 0.7500 0.5143
0.3142 0.9417 0.5644
0.8647 0.2500 0.2190
0.1353 0.7500 0.7810
0.1607 0.2500 0.7658
0.8142 0.9417 0.9356
0.6858 0.4417 0.4356
0.1858 0.0583 0.0644
0.0342 0.2500 0.4857
0.8393 0.7500 0.2342
0.6858 0.0583 0.4356
0.8142 0.5583 0.9356
0.8098 0.2500 0.3912
0.3098 0.2500 0.1088
0.6902 0.7500 0.8912
0.1902 0.7500 0.6088

=====

# 8
Th4Al PBE-GGA optimized geometry; symmetry = Fd-3m; formation energy from the elements = 0.745 eV/atom; calculated total energy = -59.4 eV for the cell shown
1.0
-5.6738 -5.6738 0.0000
-5.6738 0.0000 -5.6738
0.0000 -5.6738 -5.6738
Th Al
8 2
Direct
0.6048 0.6048 0.6048
0.6048 0.1855 0.6048
0.5645 0.1452 0.1452
0.1452 0.5645 0.1452
0.1452 0.1452 0.1452
0.1855 0.6048 0.6048
0.1452 0.1452 0.5645
0.6048 0.6048 0.1855
0.7500 0.7500 0.7500
0.0000 0.0000 0.0000

=====

# 9
K2SmP2S7 PBE-GGA optimized geometry; symmetry = C2; formation energy from the elements = -1.309 eV/atom; calculated total energy = -117.8 eV for the cell shown
1.0
3.3911 11.4692 0.0000
-3.3911 11.4692 0.0000
0.0000 1.1109 8.9830
S P K Sm
14 4 4 2
Direct
0.9496 0.6824 0.2306
0.4387 0.6985 0.6117
0.9229 0.5057 0.5190
0.2170 0.4123 0.7693
0.0724 0.8094 0.7567
0.3176 0.0504 0.7694
0.3015 0.5613 0.3883
0.4943 0.0771 0.4810
0.1906 0.9276 0.2433
0.8158 0.0527 0.3836
0.9473 0.1842 0.6164
0.0747 0.3062 0.1952
0.6938 0.9253 0.8048
0.5877 0.7830 0.2307
0.1448 0.8855 0.6130
0.8778 0.5776 0.2927
0.4224 0.1222 0.7073
0.1145 0.8552 0.3870
0.6866 0.4284 0.3023
0.8177 0.5540 0.8793
0.5716 0.3134 0.6977
0.4460 0.1823 0.1207
0.2709 0.0498 0.4666
0.9502 0.7291 0.5334

=====

# 10
Ca9Cd4Bi9 PBE-GGA optimized geometry; symmetry = Pbam; formation energy from the elements = -0.655 eV/atom; calculated total energy = -142.3 eV for the cell shown
1.0
4.8006 0.0000 0.0000
0.0000 12.8770 0.0000
0.0000 0.0000 22.7657
Ca Bi Cd
18 18 8
Direct
0.0000 0.4329 0.0886
0.0000 0.3755 0.2668
0.0000 0.8670 0.8642
0.5000 0.7078 0.1002
0.0000 0.6330 0.3642
0.0000 0.9329 0.4114
0.0000 0.8755 0.2332
0.0000 0.1330 0.1358
0.5000 0.5000 0.5000
0.0000 0.0671 0.5886
0.5000 0.2078 0.3998
0.5000 0.0000 0.0000
0.0000 0.1245 0.7668
0.5000 0.2922 0.8998
0.0000 0.5671 0.9114
0.5000 0.7922 0.6002
0.0000 0.3670 0.6358
0.0000 0.6245 0.7332
0.0000 0.8810 0.6859
0.5000 0.3181 0.1725
0.5000 0.5452 0.6434
0.0000 0.3188 0.4868
0.5000 0.1819 0.6725
0.5000 0.8181 0.3275
0.0000 0.8188 0.0132
0.5000 0.0452 0.8566
0.5000 0.0000 0.5000
0.5000 0.6819 0.8275
0.0000 0.6812 0.5132
0.0000 0.1812 0.9868
0.5000 0.4548 0.3566
0.5000 0.9548 0.1434
0.0000 0.3810 0.8141
0.5000 0.5000 0.0000
0.0000 0.1190 0.3141
0.0000 0.6190 0.1859
0.5000 0.1132 0.2402
0.5000 0.7671 0.4528
0.5000 0.2329 0.5472
0.5000 0.6132 0.2598
0.5000 0.7329 0.9528
0.5000 0.2671 0.0472
0.5000 0.3868 0.7402
0.5000 0.8868 0.7598

=====

# 11
Li5SbS4 PBE-GGA optimized geometry; symmetry = Pmmn; formation energy from the elements = -1.186 eV/atom; calculated total energy = -80.1 eV for the cell shown
1.0
-1.9268 -5.2281 -0.8459
7.2076 -2.7459 0.5534
-1.1119 -1.0725 9.1613
S Li Sb
8 10 2
Direct
0.0245 0.5000 0.7836
0.9755 0.0000 0.2836
0.4696 0.2599 0.5000
0.5304 0.7599 0.0000
0.9755 0.0000 0.7164
0.4696 0.7401 0.5000
0.0245 0.5000 0.2164
0.5304 0.2401 0.0000
0.7796 0.5000 0.0000
0.2421 0.2316 0.2020
0.2421 0.2316 0.7980
0.7579 0.7316 0.7020
0.2421 0.7684 0.7980
0.7579 0.2684 0.2980
0.2421 0.7684 0.2020
0.2204 0.0000 0.5000
0.7579 0.2684 0.7020
0.7579 0.7316 0.2980
0.1772 0.5000 0.5000
0.8228 0.0000 0.0000